1.
Here is a geometry-optimized Mg3Si2 structure from the Materials Project. Energies are from PBE.

Summary:
As for the formation energy: 0.01 eV per atom. The total energy comes out at -3.15 eV per atom.

Lattice parameters (Å, degrees): 5.2951 5.3618 13.5070 90.00 97.91 90.00
Space group P2_1/c (No. 14)
Asymmetric unit:
Mg 0.1453 0.1337 0.2397 (multiplicity 4)
Mg 0.2463 0.1533 0.9911 (multiplicity 4)
Mg 0.3247 0.6134 0.1260 (multiplicity 4)
Si 0.1618 0.6403 0.9234 (multiplicity 4)
Si 0.3980 0.5766 0.3304 (multiplicity 4)



2.
Here is a geometry-optimized SrMnSb2 structure from the Materials Project. Energies are from PBE.

Summary:
As for the formation energy: -0.53 eV per atom. The total energy comes out at -5.21 eV per atom.

Lattice parameters (Å, degrees): 4.4170 4.4170 11.7201 90.00 90.00 90.00
Space group P4/nmm (No. 129, origin choice 2)
Asymmetric unit:
Sr 0.2500 0.2500 0.2331 (multiplicity 2)
Mn 0.2500 0.7500 0.5000 (multiplicity 2)
Sb 0.2500 0.2500 0.6411 (multiplicity 2)
Sb 0.2500 0.7500 0.0000 (multiplicity 2)



3.
Here is a geometry-optimized Pr3Mg structure from the Materials Project. Energies are from PBE.

Summary:
As for the formation energy: -0.01 eV per atom. The total energy comes out at -3.99 eV per atom.

Lattice parameters (Å, degrees): 5.0444 5.0444 10.2885 90.00 90.00 90.00
Space group I4/mmm (No. 139)
Asymmetric unit:
Pr 0.0000 0.0000 0.0000 (multiplicity 2)
Pr 0.0000 0.5000 0.2500 (multiplicity 4)
Mg 0.0000 0.0000 0.5000 (multiplicity 2)



4.
Here is a geometry-optimized Mg2Pb structure from the Materials Project. Energies are from PBE.

Summary:
As for the formation energy: -0.03 eV per atom. The total energy comes out at -2.33 eV per atom.

Lattice parameters (Å, degrees): 7.7811 4.5191 8.7555 90.00 90.00 90.00
Space group Pnma (No. 62)
Asymmetric unit:
Mg 0.0330 0.2500 0.1784 (multiplicity 4)
Mg 0.1316 0.2500 0.5705 (multiplicity 4)
Pb 0.2447 0.2500 0.8848 (multiplicity 4)



5.
Here is a geometry-optimized TlCu3Te2 structure from the Materials Project. Energies are from PBE.

Summary:
As for the formation energy: -0.22 eV per atom. The total energy comes out at -3.57 eV per atom.

Lattice parameters (Å, degrees): 8.5705 8.5711 16.7872 90.00 120.63 90.00
Space group Pc (No. 7)
Asymmetric unit:
Tl 0.0000 0.2464 0.0000 (multiplicity 2)
Tl 0.2431 0.2463 0.2474 (multiplicity 2)
Tl 0.4936 0.2459 0.4999 (multiplicity 2)
Tl 0.7424 0.2484 0.7474 (multiplicity 2)
Cu 0.0581 0.1273 0.6758 (multiplicity 2)
Cu 0.1533 0.3764 0.7817 (multiplicity 2)
Cu 0.2877 0.3622 0.6703 (multiplicity 2)
Cu 0.3238 0.3588 0.9564 (multiplicity 2)
Cu 0.4032 0.1266 0.7815 (multiplicity 2)
Cu 0.5606 0.1214 0.9559 (multiplicity 2)
Cu 0.5828 0.1252 0.2104 (multiplicity 2)
Cu 0.6658 0.3754 0.0438 (multiplicity 2)
Cu 0.7034 0.3652 0.3246 (multiplicity 2)
Cu 0.8369 0.3731 0.2167 (multiplicity 2)
Cu 0.9378 0.1306 0.3242 (multiplicity 2)
Cu 0.9982 0.2469 0.5008 (multiplicity 2)
Te 0.0616 0.4232 0.3900 (multiplicity 2)
Te 0.1988 0.0860 0.8668 (multiplicity 2)
Te 0.2869 0.0681 0.6079 (multiplicity 2)
Te 0.4589 0.4129 0.1320 (multiplicity 2)
Te 0.5274 0.4167 0.8650 (multiplicity 2)
Te 0.7118 0.0745 0.3888 (multiplicity 2)
Te 0.7896 0.0816 0.1306 (multiplicity 2)
Te 0.9313 0.4236 0.6082 (multiplicity 2)



6.
Here is a geometry-optimized FeCo2N2 structure from the Materials Project. Energies are from PBE.

Summary:
As for the formation energy: 0.07 eV per atom. The total energy comes out at -7.66 eV per atom.

Lattice parameters (Å, degrees): 9.3322 4.6605 4.8522 90.00 90.00 90.00
Space group Cmc2_1 (No. 36)
Asymmetric unit:
Fe 0.0000 0.0924 0.0000 (multiplicity 4)
Co 0.1970 0.3268 0.6956 (multiplicity 8)
N 0.1398 0.3304 0.0518 (multiplicity 8)



7.
Here is a geometry-optimized PuGe3 structure from the Materials Project. Energies are from PBE.

Summary:
As for the formation energy: -0.38 eV per atom. The total energy comes out at -7.42 eV per atom.

Lattice parameters (Å, degrees): 4.2728 4.2728 4.2728 90.00 90.00 90.00
Space group Pm-3m (No. 221)
Asymmetric unit:
Pu 0.0000 0.0000 0.0000 (multiplicity 1)
Ge 0.0000 0.5000 0.5000 (multiplicity 3)



8.
Here is a geometry-optimized ThSi2 structure from the Materials Project. Energies are from PBE.

Summary:
As for the formation energy: -0.57 eV per atom. The total energy comes out at -6.71 eV per atom.

Lattice parameters (Å, degrees): 4.1247 4.1247 4.1684 90.00 90.00 120.00
Space group P6/mmm (No. 191)
Asymmetric unit:
Th 0.0000 0.0000 0.0000 (multiplicity 1)
Si 0.3333 0.6667 0.5000 (multiplicity 2)